Record 1
DFT (PBE) results for a relaxed Na3HfMgP3O12 crystal.

Summary:
energy with MP2020 corrections = -7.52 eV per atom
energy = -0.5227 Ry/atom

```
data_Na3HfMgP3O12
_cell_length_a 9.009
_cell_length_b 9.009
_cell_length_c 22.258
_cell_angle_alpha 90.18
_cell_angle_beta 90.18
_cell_angle_gamma 59.90
_symmetry_space_group_name_H-M 'P 1'
_symmetry_Int_Tables_number 1
_symmetry_space_group_name_Hall 'P 1'
loop_
_atom_site_label
_atom_site_type_symbol
_atom_site_fract_x
_atom_site_fract_y
_atom_site_fract_z
Na1 Na 0.002 0.998 0.500
Na2 Na 0.031 0.310 0.413
Na3 Na 0.305 0.654 0.413
Na4 Na 0.310 0.031 0.913
Na5 Na 0.319 0.700 0.080
Na6 Na 0.326 0.336 0.833
Na7 Na 0.336 0.326 0.333
Na8 Na 0.367 0.639 0.746
Na9 Na 0.367 0.983 0.247
Na10 Na 0.639 0.367 0.246
Na11 Na 0.648 0.700 0.667
Na12 Na 0.654 0.305 0.913
Na13 Na 0.699 0.973 0.080
Na14 Na 0.700 0.319 0.580
Na15 Na 0.700 0.648 0.167
Na16 Na 0.973 0.699 0.580
Na17 Na 0.983 0.367 0.747
Na18 Na 0.998 0.002 0.000
Hf1 Hf 0.321 0.336 0.177
Hf2 Hf 0.336 0.321 0.677
Hf3 Hf 0.660 0.672 0.510
Hf4 Hf 0.672 0.660 0.010
Hf5 Hf 0.992 0.995 0.343
Hf6 Hf 0.995 0.992 0.843
Mg1 Mg 0.003 0.996 0.641
Mg2 Mg 0.322 0.337 0.974
Mg3 Mg 0.337 0.322 0.474
Mg4 Mg 0.667 0.671 0.808
Mg5 Mg 0.671 0.667 0.308
Mg6 Mg 0.996 0.003 0.141
P1 P 0.035 0.329 0.572
P2 P 0.036 0.629 0.073
P3 P 0.291 0.996 0.742
P4 P 0.294 0.701 0.239
P5 P 0.329 0.035 0.072
P6 P 0.330 0.626 0.573
P7 P 0.367 0.962 0.403
P8 P 0.371 0.662 0.906
P9 P 0.626 0.330 0.073
P10 P 0.629 0.036 0.573
P11 P 0.662 0.371 0.406
P12 P 0.662 0.961 0.909
P13 P 0.701 0.294 0.739
P14 P 0.701 0.995 0.236
P15 P 0.961 0.662 0.409
P16 P 0.962 0.367 0.903
P17 P 0.995 0.701 0.736
P18 P 0.996 0.291 0.242
O1 O 0.001 0.180 0.579
O2 O 0.011 0.811 0.080
O3 O 0.022 0.796 0.791
O4 O 0.025 0.180 0.301
O5 O 0.122 0.520 0.131
O6 O 0.127 0.353 0.629
O7 O 0.135 0.316 0.515
O8 O 0.143 0.507 0.414
O9 O 0.145 0.334 0.911
O10 O 0.148 0.542 0.019
O11 O 0.166 0.298 0.237
O12 O 0.167 0.520 0.736
O13 O 0.173 0.803 0.580
O14 O 0.180 0.001 0.079
O15 O 0.180 0.025 0.801
O16 O 0.184 0.792 0.297
O17 O 0.188 0.970 0.404
O18 O 0.192 0.832 0.903
O19 O 0.200 0.972 0.689
O20 O 0.207 0.808 0.184
O21 O 0.298 0.166 0.737
O22 O 0.310 0.539 0.517
O23 O 0.316 0.135 0.015
O24 O 0.316 0.517 0.238
O25 O 0.334 0.145 0.411
O26 O 0.352 0.504 0.914
O27 O 0.353 0.127 0.129
O28 O 0.358 0.506 0.629
O29 O 0.461 0.691 0.963
O30 O 0.463 0.881 0.345
O31 O 0.465 0.841 0.458
O32 O 0.471 0.840 0.749
O33 O 0.476 0.677 0.245
O34 O 0.478 0.641 0.850
O35 O 0.500 0.635 0.570
O36 O 0.501 0.854 0.071
O37 O 0.504 0.352 0.414
O38 O 0.506 0.358 0.129
O39 O 0.507 0.143 0.914
O40 O 0.517 0.316 0.738
O41 O 0.520 0.122 0.631
O42 O 0.520 0.167 0.236
O43 O 0.539 0.310 0.017
O44 O 0.542 0.148 0.519
O45 O 0.635 0.500 0.070
O46 O 0.638 0.869 0.856
O47 O 0.641 0.478 0.350
O48 O 0.647 0.854 0.570
O49 O 0.670 0.844 0.245
O50 O 0.677 0.476 0.745
O51 O 0.686 0.856 0.968
O52 O 0.691 0.461 0.463
O53 O 0.792 0.184 0.797
O54 O 0.796 0.022 0.291
O55 O 0.797 0.981 0.178
O56 O 0.803 0.173 0.080
O57 O 0.808 0.207 0.684
O58 O 0.811 0.011 0.580
O59 O 0.826 0.980 0.904
O60 O 0.832 0.192 0.403
O61 O 0.840 0.471 0.249
O62 O 0.841 0.465 0.958
O63 O 0.844 0.670 0.745
O64 O 0.854 0.501 0.571
O65 O 0.854 0.647 0.070
O66 O 0.856 0.686 0.468
O67 O 0.869 0.638 0.356
O68 O 0.881 0.463 0.845
O69 O 0.970 0.188 0.904
O70 O 0.972 0.200 0.189
O71 O 0.980 0.826 0.404
O72 O 0.981 0.797 0.678
```

Record 2
DFT (PBE) results for a relaxed Na3HfMgP3O12 crystal.

Summary:
energy with MP2020 corrections = -7.52 eV per atom
energy = -0.5227 Ry/atom

```
data_Na3HfMgP3O12
_cell_length_a 15.597
_cell_length_b 8.991
_cell_length_c 8.970
_cell_angle_alpha 90.00
_cell_angle_beta 124.75
_cell_angle_gamma 90.00
_symmetry_space_group_name_H-M 'P 1'
_symmetry_Int_Tables_number 1
_symmetry_space_group_name_Hall 'P 1'
loop_
_atom_site_label
_atom_site_type_symbol
_atom_site_fract_x
_atom_site_fract_y
_atom_site_fract_z
O1 O 0.351 0.141 0.087
P1 P 0.644 0.894 0.746
P2 P 0.353 0.897 0.761
O2 O 0.942 0.942 0.094
O3 O 0.418 0.647 0.254
O4 O 0.076 0.848 0.746
P3 P 0.003 0.952 0.762
O5 O 0.567 0.543 0.935
Na1 Na 0.752 0.222 0.984
O6 O 0.918 0.147 0.254
Mg1 Mg 0.102 0.750 0.557
Na2 Na 0.252 0.722 0.984
O7 O 0.067 0.043 0.935
O8 O 0.256 0.838 0.748
O9 O 0.455 0.845 0.932
O10 O 0.955 0.345 0.932
O11 O 0.576 0.652 0.246
O12 O 0.256 0.162 0.248
O13 O 0.455 0.155 0.432
O14 O 0.851 0.359 0.587
O15 O 0.542 0.833 0.566
Na3 Na 0.752 0.778 0.484
O16 O 0.918 0.853 0.754
O17 O 0.418 0.353 0.754
P4 P 0.503 0.452 0.762
O18 O 0.756 0.338 0.748
O19 O 0.851 0.641 0.087
O20 O 0.847 0.573 0.758
O21 O 0.237 0.316 0.753
O22 O 0.076 0.152 0.246
Na4 Na 0.185 0.058 0.786
Na5 Na 0.502 0.111 0.746
O23 O 0.442 0.442 0.094
O24 O 0.642 0.156 0.405
Na6 Na 0.002 0.389 0.246
O25 O 0.650 0.937 0.238
O26 O 0.756 0.662 0.248
O27 O 0.237 0.684 0.253
Mg2 Mg 0.602 0.250 0.557
O28 O 0.567 0.457 0.435
Na7 Na 0.502 0.889 0.246
O29 O 0.347 0.927 0.258
Na8 Na 0.685 0.442 0.286
O30 O 0.442 0.558 0.594
Hf1 Hf 0.395 0.258 0.941
O31 O 0.042 0.333 0.566
O32 O 0.042 0.667 0.066
O33 O 0.150 0.437 0.238
O34 O 0.067 0.957 0.435
O35 O 0.650 0.063 0.738
P5 P 0.853 0.603 0.261
O36 O 0.351 0.859 0.587
P6 P 0.144 0.606 0.246
Hf2 Hf 0.395 0.742 0.441
P7 P 0.003 0.048 0.262
O37 O 0.347 0.073 0.758
Mg3 Mg 0.602 0.750 0.057
P8 P 0.853 0.397 0.761
Na9 Na 0.685 0.558 0.786
P9 P 0.644 0.106 0.246
O38 O 0.737 0.184 0.253
O39 O 0.142 0.344 0.905
O40 O 0.642 0.844 0.905
P10 P 0.503 0.548 0.262
Na10 Na 0.002 0.611 0.746
O41 O 0.576 0.348 0.746
P11 P 0.353 0.103 0.261
O42 O 0.942 0.058 0.594
O43 O 0.150 0.563 0.738
P12 P 0.144 0.394 0.746
Mg4 Mg 0.102 0.250 0.057
Na11 Na 0.185 0.942 0.286
O44 O 0.737 0.816 0.753
O45 O 0.142 0.656 0.405
Hf3 Hf 0.895 0.242 0.441
Na12 Na 0.252 0.278 0.484
Hf4 Hf 0.895 0.758 0.941
O46 O 0.542 0.167 0.066
O47 O 0.847 0.427 0.258
O48 O 0.955 0.655 0.432
```

| no. | spin magnetization (μB/atom) |
| --- | --- |
| 1 | 0.000 |
| 2 | 0.000 |